No. 1
Compound: MgV2P2O10
Source: the Materials Project
Functional: PBE+U
Structure: optimized geometry

abc: 4.910 6.346 6.376
angles: 88.31 88.35 88.88
Element x y z (fractional)
Mg: 0.000 0.000 0.000
V: 0.246 0.255 0.260
V: 0.754 0.745 0.740
P: 0.496 0.250 0.751
P: 0.504 0.750 0.249
O: 0.089 0.766 0.759
O: 0.283 0.234 0.936
O: 0.291 0.934 0.222
O: 0.343 0.220 0.549
O: 0.353 0.544 0.243
O: 0.647 0.456 0.757
O: 0.657 0.780 0.451
O: 0.709 0.066 0.778
O: 0.717 0.766 0.064
O: 0.911 0.234 0.241

raw total energy	-7.290	eV/atom
V	13.23	Å³ per atom
excess energy over the best structure of this formula in the dataset	1.04	eV per formula unit
formation enthalpy at 0 K	-2.636	eV/atom

No. 2
Compound: MgV4P4O20
Source: the Materials Project
Functional: PBE+U
Structure: optimized geometry

abc: 5.281 7.340 10.204
angles: 70.13 75.45 69.38
Element x y z (fractional)
Mg: 0.000 0.000 0.000
V: 0.000 0.500 0.500
V: 0.478 0.252 0.258
V: 0.500 0.000 0.000
V: 0.522 0.748 0.742
P: 0.106 0.943 0.315
P: 0.123 0.451 0.813
P: 0.877 0.549 0.187
P: 0.894 0.057 0.685
O: 0.145 0.733 0.418
O: 0.174 0.239 0.922
O: 0.175 0.429 0.661
O: 0.182 0.430 0.155
O: 0.201 0.928 0.160
O: 0.204 0.936 0.670
O: 0.277 0.051 0.344
O: 0.312 0.557 0.830
O: 0.328 0.349 0.399
O: 0.404 0.864 0.909
O: 0.596 0.136 0.091
O: 0.672 0.651 0.601
O: 0.688 0.443 0.170
O: 0.723 0.949 0.656
O: 0.796 0.064 0.330
O: 0.799 0.072 0.840
O: 0.818 0.570 0.845
O: 0.825 0.571 0.339
O: 0.826 0.761 0.078
O: 0.855 0.267 0.582

raw total energy	-7.323	eV/atom
V	11.87	Å³ per atom
excess energy over the best structure of this formula in the dataset	0.66	eV per formula unit
formation enthalpy at 0 K	-2.564	eV/atom

No. 3
Compound: MgV3P4O14
Source: the Materials Project
Functional: PBE+U
Structure: optimized geometry

abc: 7.457 7.736 9.552
angles: 90.00 111.68 90.00
Element x y z (fractional)
Mg: 0.000 0.000 0.000
Mg: 0.000 0.500 0.500
V: 0.310 0.129 0.477
V: 0.310 0.371 0.977
V: 0.500 0.000 0.000
V: 0.500 0.500 0.500
V: 0.690 0.629 0.023
V: 0.690 0.871 0.523
P: 0.092 0.072 0.708
P: 0.092 0.428 0.208
P: 0.363 0.708 0.185
P: 0.363 0.792 0.685
P: 0.637 0.208 0.315
P: 0.637 0.292 0.815
P: 0.908 0.572 0.792
P: 0.908 0.928 0.292
O: 0.108 0.527 0.797
O: 0.108 0.973 0.297
O: 0.114 0.204 0.596
O: 0.114 0.296 0.096
O: 0.168 0.613 0.174
O: 0.168 0.887 0.674
O: 0.218 0.117 0.875
O: 0.218 0.383 0.375
O: 0.298 0.622 0.598
O: 0.298 0.878 0.098
O: 0.463 0.588 0.107
O: 0.463 0.912 0.607
O: 0.481 0.719 0.354
O: 0.481 0.781 0.854
O: 0.519 0.219 0.146
O: 0.519 0.281 0.646
O: 0.537 0.088 0.393
O: 0.537 0.412 0.893
O: 0.702 0.122 0.902
O: 0.702 0.378 0.402
O: 0.782 0.617 0.625
O: 0.782 0.883 0.125
O: 0.832 0.113 0.326
O: 0.832 0.387 0.826
O: 0.886 0.704 0.904
O: 0.886 0.796 0.404
O: 0.892 0.027 0.703
O: 0.892 0.473 0.203

raw total energy	-7.410	eV/atom
V	11.64	Å³ per atom
formation enthalpy at 0 K	-2.635	eV/atom

No. 4
Compound: MgV8P12O48
Source: the Materials Project
Functional: PBE+U
Structure: optimized geometry

abc: 8.526 8.623 11.907
angles: 89.99 89.71 89.96
Element x y z (fractional)
Mg: 0.000 0.000 0.000
V: 0.158 0.752 0.637
V: 0.166 0.682 0.139
V: 0.167 0.253 0.373
V: 0.171 0.202 0.864
V: 0.657 0.189 0.140
V: 0.657 0.685 0.872
V: 0.658 0.749 0.375
V: 0.662 0.250 0.635
P: 0.017 0.606 0.401
P: 0.021 0.332 0.115
P: 0.298 0.828 0.899
P: 0.310 0.100 0.605
P: 0.382 0.968 0.247
P: 0.445 0.471 0.260
P: 0.518 0.602 0.611
P: 0.525 0.330 0.899
P: 0.796 0.824 0.111
P: 0.803 0.103 0.398
P: 0.876 0.969 0.753
P: 0.935 0.472 0.760
O: 0.013 0.588 0.682
O: 0.038 0.431 0.419
O: 0.060 0.498 0.081
O: 0.067 0.657 0.282
O: 0.068 0.217 0.020
O: 0.068 0.372 0.815
O: 0.107 0.706 0.487
O: 0.113 0.284 0.220
O: 0.215 0.202 0.523
O: 0.216 0.781 0.788
O: 0.230 0.989 0.934
O: 0.248 0.710 0.990
O: 0.252 0.883 0.183
O: 0.262 0.146 0.725
O: 0.289 0.926 0.586
O: 0.311 0.087 0.327
O: 0.340 0.605 0.626
O: 0.343 0.399 0.353
O: 0.349 0.295 0.924
O: 0.352 0.585 0.188
O: 0.476 0.830 0.885
O: 0.482 0.855 0.320
O: 0.487 0.137 0.588
O: 0.492 0.043 0.157
O: 0.519 0.355 0.178
O: 0.541 0.509 0.915
O: 0.562 0.290 0.776
O: 0.566 0.712 0.512
O: 0.571 0.435 0.578
O: 0.580 0.562 0.318
O: 0.611 0.655 0.713
O: 0.626 0.235 0.979
O: 0.695 0.727 0.033
O: 0.705 0.159 0.300
O: 0.745 0.064 0.697
O: 0.749 0.936 0.431
O: 0.759 0.210 0.501
O: 0.761 0.790 0.234
O: 0.787 0.003 0.084
O: 0.797 0.848 0.831
O: 0.838 0.359 0.687
O: 0.839 0.641 0.418
O: 0.840 0.541 0.857
O: 0.843 0.313 0.135
O: 0.970 0.071 0.837
O: 0.976 0.801 0.085
O: 0.980 0.110 0.380
O: 0.982 0.901 0.662

raw total energy	-7.390	eV/atom
V	12.69	Å³ per atom
excess energy over the best structure of this formula in the dataset	0.00	eV per formula unit
formation enthalpy at 0 K	-2.605	eV/atom

No. 5
Compound: MgV8P12O48
Source: the Materials Project
Functional: PBE+U
Structure: optimized geometry

abc: 8.541 8.565 11.969
angles: 89.41 89.28 89.59
Element x y z (fractional)
Mg: 0.000 0.000 0.000
V: 0.011 0.187 0.304
V: 0.012 0.683 0.561
V: 0.070 0.193 0.787
V: 0.071 0.670 0.068
V: 0.506 0.688 0.295
V: 0.510 0.184 0.560
V: 0.563 0.685 0.795
V: 0.573 0.183 0.064
P: 0.158 0.039 0.537
P: 0.161 0.535 0.330
P: 0.285 0.969 0.182
P: 0.290 0.463 0.683
P: 0.421 0.041 0.825
P: 0.428 0.541 0.036
P: 0.655 0.830 0.535
P: 0.657 0.328 0.323
P: 0.786 0.407 0.672
P: 0.798 0.905 0.183
P: 0.919 0.331 0.038
P: 0.920 0.820 0.820
O: 0.014 0.223 0.957
O: 0.019 0.787 0.926
O: 0.049 0.079 0.441
O: 0.065 0.641 0.411
O: 0.111 0.140 0.639
O: 0.117 0.578 0.210
O: 0.128 0.364 0.357
O: 0.154 0.864 0.565
O: 0.169 0.894 0.098
O: 0.175 0.540 0.604
O: 0.200 0.108 0.238
O: 0.214 0.366 0.778
O: 0.243 0.069 0.848
O: 0.259 0.598 0.008
O: 0.330 0.086 0.506
O: 0.340 0.561 0.345
O: 0.343 0.852 0.270
O: 0.384 0.592 0.741
O: 0.399 0.361 0.610
O: 0.423 0.038 0.111
O: 0.429 0.362 0.047
O: 0.445 0.860 0.838
O: 0.465 0.089 0.705
O: 0.484 0.625 0.139
O: 0.526 0.123 0.908
O: 0.534 0.592 0.935
O: 0.545 0.275 0.422
O: 0.558 0.747 0.448
O: 0.600 0.780 0.653
O: 0.606 0.239 0.220
O: 0.629 0.010 0.523
O: 0.649 0.506 0.311
O: 0.656 0.839 0.245
O: 0.679 0.507 0.749
O: 0.693 0.274 0.618
O: 0.741 0.308 0.016
O: 0.747 0.780 0.848
O: 0.758 0.009 0.078
O: 0.824 0.278 0.358
O: 0.833 0.809 0.521
O: 0.863 0.505 0.581
O: 0.891 0.765 0.131
O: 0.903 0.324 0.752
O: 0.903 0.994 0.262
O: 0.932 0.001 0.811
O: 0.953 0.502 0.009
O: 0.962 0.282 0.156
O: 0.978 0.727 0.721

raw total energy	-7.382	eV/atom
V	12.69	Å³ per atom
excess energy over the best structure of this formula in the dataset	0.57	eV per formula unit
formation enthalpy at 0 K	-2.597	eV/atom

No. 6
Compound: MgV2P2O10
Source: the Materials Project
Functional: PBE+U
Structure: optimized geometry

abc: 5.266 5.392 7.036
angles: 107.43 107.33 97.18
Element x y z (fractional)
Mg: 0.000 0.000 0.000
V: 0.744 0.370 0.775
V: 0.748 0.398 0.287
P: 0.082 0.014 0.524
P: 0.423 0.746 0.024
O: 0.056 0.711 0.426
O: 0.115 0.641 0.879
O: 0.381 0.150 0.666
O: 0.428 0.049 0.122
O: 0.491 0.603 0.185
O: 0.628 0.715 0.902
O: 0.679 0.426 0.521
O: 0.839 0.318 0.031
O: 0.912 0.063 0.676
O: 0.986 0.125 0.340

raw total energy	-7.359	eV/atom
V	11.79	Å³ per atom
excess energy over the best structure of this formula in the dataset	0.00	eV per formula unit
formation enthalpy at 0 K	-2.705	eV/atom

No. 7
Compound: MgV2P2O10
Source: the Materials Project
Functional: PBE+U
Structure: optimized geometry

abc: 5.478 5.526 6.449
angles: 81.11 81.09 71.88
Element x y z (fractional)
Mg: 0.000 0.000 0.000
V: 0.328 0.330 0.208
V: 0.672 0.669 0.792
P: 0.274 0.271 0.736
P: 0.726 0.729 0.265
O: 0.026 0.659 0.201
O: 0.139 0.149 0.211
O: 0.347 0.975 0.805
O: 0.351 0.341 0.504
O: 0.400 0.402 0.873
O: 0.600 0.598 0.128
O: 0.648 0.660 0.497
O: 0.655 0.026 0.195
O: 0.864 0.848 0.790
O: 0.974 0.340 0.800

raw total energy	-7.352	eV/atom
V	12.14	Å³ per atom
excess energy over the best structure of this formula in the dataset	0.10	eV per formula unit
formation enthalpy at 0 K	-2.699	eV/atom

No. 8
Compound: MgV2P2O10
Source: the Materials Project
Functional: PBE+U
Structure: optimized geometry

abc: 5.777 5.777 6.369
angles: 94.85 94.85 66.28
Element x y z (fractional)
Mg: 0.000 0.000 0.000
V: 0.081 0.508 0.248
V: 0.492 0.919 0.752
P: 0.019 0.469 0.747
P: 0.531 0.981 0.253
O: 0.115 0.544 0.558
O: 0.115 0.593 0.947
O: 0.126 0.175 0.763
O: 0.407 0.885 0.053
O: 0.435 0.272 0.257
O: 0.456 0.885 0.442
O: 0.679 0.071 0.809
O: 0.728 0.565 0.743
O: 0.825 0.874 0.237
O: 0.929 0.321 0.191

raw total energy	-7.327	eV/atom
V	12.90	Å³ per atom
excess energy over the best structure of this formula in the dataset	0.48	eV per formula unit
formation enthalpy at 0 K	-2.673	eV/atom

No. 9
Compound: Mg3V4P6O24
Source: the Materials Project
Functional: PBE+U
Structure: optimized geometry

abc: 6.423 8.020 9.464
angles: 105.34 108.79 101.07
Element x y z (fractional)
Mg: 0.000 0.000 0.000
Mg: 0.278 0.810 0.289
Mg: 0.722 0.190 0.711
V: 0.047 0.717 0.524
V: 0.388 0.462 0.116
V: 0.612 0.538 0.884
V: 0.953 0.283 0.476
P: 0.087 0.590 0.833
P: 0.229 0.146 0.770
P: 0.393 0.228 0.366
P: 0.607 0.772 0.634
P: 0.771 0.854 0.230
P: 0.913 0.410 0.167
O: 0.017 0.183 0.661
O: 0.062 0.542 0.655
O: 0.102 0.783 0.914
O: 0.123 0.543 0.165
O: 0.213 0.947 0.709
O: 0.229 0.200 0.942
O: 0.246 0.277 0.461
O: 0.269 0.036 0.236
O: 0.308 0.540 0.919
O: 0.374 0.772 0.509
O: 0.450 0.363 0.286
O: 0.458 0.262 0.772
O: 0.542 0.738 0.228
O: 0.550 0.637 0.714
O: 0.626 0.228 0.491
O: 0.692 0.460 0.081
O: 0.731 0.964 0.764
O: 0.754 0.723 0.539
O: 0.771 0.800 0.058
O: 0.787 0.053 0.291
O: 0.877 0.457 0.835
O: 0.898 0.217 0.086
O: 0.938 0.458 0.345
O: 0.983 0.817 0.339

raw total energy	-7.396	eV/atom
V	11.46	Å³ per atom
formation enthalpy at 0 K	-2.827	eV/atom

No. 10
Compound: MgV2P2O8
Source: the Materials Project
Functional: PBE+U
Structure: optimized geometry

abc: 8.511 8.511 17.576
angles: 115.38 115.38 32.73
Element x y z (fractional)
Mg: 0.004 0.332 0.162
Mg: 0.332 0.004 0.662
Mg: 0.668 0.996 0.338
Mg: 0.996 0.668 0.838
V: 0.000 0.500 0.000
V: 0.128 0.692 0.535
V: 0.164 0.836 0.750
V: 0.308 0.872 0.965
V: 0.500 0.000 0.500
V: 0.692 0.128 0.035
V: 0.836 0.164 0.250
V: 0.872 0.308 0.465
P: 0.008 0.435 0.366
P: 0.274 0.683 0.381
P: 0.317 0.726 0.119
P: 0.435 0.008 0.866
P: 0.565 0.992 0.134
P: 0.683 0.274 0.881
P: 0.726 0.317 0.619
P: 0.992 0.565 0.634
O: 0.071 0.775 0.422
O: 0.094 0.660 0.642
O: 0.106 0.790 0.295
O: 0.107 0.439 0.713
O: 0.121 0.323 0.555
O: 0.178 0.348 0.887
O: 0.188 0.645 0.056
O: 0.210 0.894 0.205
O: 0.225 0.929 0.078
O: 0.323 0.121 0.055
O: 0.339 0.575 0.871
O: 0.340 0.906 0.858
O: 0.348 0.178 0.387
O: 0.355 0.812 0.444
O: 0.425 0.661 0.629
O: 0.439 0.107 0.213
O: 0.561 0.893 0.787
O: 0.575 0.339 0.371
O: 0.645 0.188 0.556
O: 0.652 0.822 0.613
O: 0.660 0.094 0.142
O: 0.661 0.425 0.129
O: 0.677 0.879 0.945
O: 0.775 0.071 0.922
O: 0.790 0.106 0.795
O: 0.812 0.355 0.944
O: 0.822 0.652 0.113
O: 0.879 0.677 0.445
O: 0.893 0.561 0.287
O: 0.894 0.210 0.705
O: 0.906 0.340 0.358
O: 0.929 0.225 0.578

raw total energy	-7.379	eV/atom
V	11.84	Å³ per atom
formation enthalpy at 0 K	-2.665	eV/atom